Arrangement 1

Li7Fe4P6O24 | PBE with a Hubbard U | relaxed

Summary:
Crystal system ... monoclinic
M_tot ... 19.00 μB per formula unit

Lattice parameters (Å, degrees): 9.8025 9.8025 9.7440 91.88 91.88 88.09
Last column: nearest neighbours and their distance in Å.
Element x y z (fractional)
Li: 0.0247 0.9753 0.5000  3 O 1.95-2.18
Li: 0.1412 0.5466 0.1824  3 O 1.93-2.01
Li: 0.1873 0.6953 0.4570  6 O 2.35-2.41
Li: 0.2249 0.8477 0.7447  2 O 1.97-2.04
Li: 0.3413 0.4126 0.4196  3 O 1.91-2.12
Li: 0.4126 0.3413 0.9196  3 O 1.91-2.12
Li: 0.4800 0.6593 0.6104  2 O 1.96-2.02
Li: 0.5466 0.1412 0.6824  3 O 1.93-2.01
Li: 0.6593 0.4800 0.1104  2 O 1.96-2.02
Li: 0.6953 0.1873 0.9570  6 O 2.35-2.41
Li: 0.7461 0.9102 0.7973  3 O 1.96-2.03
Li: 0.8477 0.2249 0.2447  2 O 1.97-2.04
Li: 0.9102 0.7461 0.2973  3 O 1.96-2.03
Li: 0.9753 0.0247 0.0000  3 O 1.95-2.18
Fe: 0.1610 0.2231 0.7112  6 O 1.95-2.10
Fe: 0.2231 0.1610 0.2112  6 O 1.95-2.10
Fe: 0.4430 0.7227 0.9883  6 O 1.97-2.10
Fe: 0.4489 0.9425 0.2149  6 O 1.97-2.05
Fe: 0.6626 0.9444 0.4289  6 O 2.08-2.19
Fe: 0.7227 0.4430 0.4883  6 O 1.97-2.10
Fe: 0.9425 0.4489 0.7149  6 O 1.97-2.05
Fe: 0.9444 0.6626 0.9289  6 O 2.08-2.19
P: 0.0202 0.3324 0.0116  4 O 1.54-1.59
P: 0.0457 0.3654 0.4114  4 O 1.54-1.58
P: 0.1470 0.8413 0.1277  4 O 1.54-1.59
P: 0.2462 0.5454 0.7843  4 O 1.53-1.56
P: 0.3324 0.0202 0.5116  4 O 1.54-1.59
P: 0.3654 0.0457 0.9114  4 O 1.54-1.58
P: 0.5184 0.6406 0.3106  4 O 1.53-1.57
P: 0.5454 0.2462 0.2843  4 O 1.53-1.56
P: 0.6406 0.5184 0.8106  4 O 1.53-1.57
P: 0.7418 0.8607 0.1014  4 O 1.54-1.60
P: 0.8413 0.1470 0.6277  4 O 1.54-1.59
P: 0.8607 0.7418 0.6014  4 O 1.54-1.60
O: 0.0255 0.3150 0.8494  1 P 1.59
O: 0.0694 0.3604 0.5723  1 P 1.58
O: 0.0854 0.8147 0.9826  1 P 1.54
O: 0.0868 0.2236 0.3460  1 P 1.56
O: 0.0877 0.5683 0.7877  1 P 1.56
O: 0.0978 0.7428 0.2345  1 P 1.54
O: 0.1089 0.9944 0.1635  1 P 1.57
O: 0.1386 0.4773 0.3655  1 P 1.54
O: 0.1646 0.2910 0.0718  1 P 1.56
O: 0.2236 0.0868 0.8460  1 P 1.56
O: 0.2342 0.9117 0.5552  1 P 1.54
O: 0.2825 0.3897 0.7629  1 P 1.56
O: 0.2910 0.1646 0.5718  1 P 1.56
O: 0.2946 0.6384 0.6732  1 P 1.53
O: 0.3078 0.8164 0.1280  1 P 1.59
O: 0.3086 0.5862 0.9286  1 P 1.56
O: 0.3150 0.0255 0.3494  1 P 1.59
O: 0.3604 0.0694 0.0723  1 P 1.58
O: 0.3871 0.8914 0.8725  1 P 1.56
O: 0.3897 0.2825 0.2629  1 P 1.56
O: 0.4072 0.5928 0.4032  1 P 1.53
O: 0.4773 0.1386 0.8655  1 P 1.54
O: 0.4842 0.9948 0.5524  1 P 1.54
O: 0.4966 0.6045 0.1543  1 P 1.56
O: 0.5226 0.7988 0.3362  1 P 1.57
O: 0.5683 0.0877 0.2877  1 P 1.56
O: 0.5756 0.6612 0.8501  1 P 1.56
O: 0.5794 0.8599 0.0796  1 P 1.60
O: 0.5862 0.3086 0.4286  1 P 1.56
O: 0.5928 0.4072 0.9032  1 P 1.53
O: 0.6045 0.4966 0.6543  1 P 1.56
O: 0.6384 0.2946 0.1732  1 P 1.53
O: 0.6612 0.5756 0.3501  1 P 1.56
O: 0.7148 0.8011 0.5763  1 P 1.54
O: 0.7428 0.0978 0.7345  1 P 1.54
O: 0.7804 0.9019 0.2519  1 P 1.55
O: 0.7874 0.9637 0.9969  1 P 1.54
O: 0.7988 0.5226 0.8362  1 P 1.57
O: 0.8011 0.7148 0.0763  1 P 1.54
O: 0.8147 0.0854 0.4826  1 P 1.54
O: 0.8164 0.3078 0.6280  1 P 1.59
O: 0.8599 0.5794 0.5796  1 P 1.60
O: 0.8914 0.3871 0.3725  1 P 1.56
O: 0.9019 0.7804 0.7519  1 P 1.55
O: 0.9117 0.2342 0.0552  1 P 1.54
O: 0.9637 0.7874 0.4969  1 P 1.54
O: 0.9944 0.1089 0.6635  1 P 1.57
O: 0.9948 0.4842 0.0524  1 P 1.54

---

Arrangement 2

Li7Fe4P6O24 | PBE with a Hubbard U | relaxed

Summary:
Crystal system ... triclinic
M_tot ... 19.00 μB per formula unit

Lattice parameters (Å, degrees): 8.4859 8.4925 9.0054 62.10 62.37 60.09
Last column: nearest neighbours and their distance in Å.
Element x y z (fractional)
Li: 0.0000 0.0000 0.0000  3 O 1.98-2.10
Li: 0.0276 0.0024 0.3951  4 O 2.03-2.25
Li: 0.1356 0.5202 0.4863  4 O 2.02-2.19
Li: 0.3128 0.2019 0.1965  4 O 1.98-2.09
Li: 0.4938 0.6335 0.7046  3 O 1.94-2.08
Li: 0.5706 0.5942 0.1885  4 O 1.94-2.08
Li: 0.8308 0.1476 0.6950  3 O 1.89-2.05
Fe: 0.0803 0.7113 0.7788  6 O 1.93-2.15
Fe: 0.3803 0.0014 0.9022  6 O 1.94-2.10
Fe: 0.5886 0.2060 0.2935  6 O 1.99-2.09
Fe: 0.8704 0.5139 0.3863  6 O 2.12-2.23
P: 0.1919 0.1041 0.5901  4 O 1.54-1.57
P: 0.2797 0.6028 0.0930  4 O 1.54-1.56
P: 0.4646 0.4034 0.5899  4 O 1.52-1.57
P: 0.6908 0.9109 0.0825  4 O 1.53-1.58
P: 0.7644 0.8245 0.5940  4 O 1.53-1.57
P: 0.9814 0.3161 0.0929  4 O 1.53-1.57
O: 0.0255 0.4811 0.9304  1 P 1.53
O: 0.0284 0.2957 0.2506  1 P 1.56
O: 0.0396 0.3078 0.5748  1 P 1.55
O: 0.0930 0.6252 0.2470  1 P 1.54
O: 0.1022 0.9802 0.5906  1 P 1.57
O: 0.1042 0.1164 0.0616  1 P 1.57
O: 0.2308 0.0183 0.7685  1 P 1.54
O: 0.2470 0.6568 0.9170  1 P 1.55
O: 0.3363 0.6028 0.6171  1 P 1.55
O: 0.3686 0.7366 0.0729  1 P 1.56
O: 0.3754 0.0994 0.4310  1 P 1.55
O: 0.3953 0.2487 0.7444  1 P 1.52
O: 0.4228 0.3929 0.1283  1 P 1.56
O: 0.4464 0.4160 0.4189  1 P 1.57
O: 0.4899 0.0177 0.0565  1 P 1.55
O: 0.6290 0.8535 0.7730  1 P 1.53
O: 0.6680 0.3711 0.5719  1 P 1.55
O: 0.7076 0.7079 0.2078  1 P 1.53
O: 0.7213 0.6966 0.5528  1 P 1.53
O: 0.7263 0.0291 0.1461  1 P 1.56
O: 0.7557 0.0229 0.4477  1 P 1.57
O: 0.7685 0.3505 0.1417  1 P 1.55
O: 0.8526 0.9085 0.9007  1 P 1.58
O: 0.9765 0.7343 0.5963  1 P 1.57

---

Quick one: least stable of them? arrangement 1